DFT (PBE) results for crystalline Rb2AlInBr6 at its relaxed geometry.

Output
Space group: No. 225
Energy of formation in eV/atom: -1.59

Cell: 8.0149 8.0149 8.0149 Å, 60.00 60.00 60.00°
Atoms (fractional coordinates):
Rb: 0.7500 0.7500 0.7500
Rb: 0.2500 0.2500 0.2500
Al: 0.0000 0.0000 0.0000
In: 0.5000 0.5000 0.5000
Br: 0.7759 0.2241 0.2241
Br: 0.2241 0.2241 0.7759
Br: 0.2241 0.7759 0.7759
Br: 0.2241 0.7759 0.2241
Br: 0.7759 0.2241 0.7759
Br: 0.7759 0.7759 0.2241



DFT (PBE) results for crystalline KAl2Br7 at its relaxed geometry.

Output
Space group: No. 14
Energy of formation in eV/atom: -1.67

Cell: 11.3683 11.0963 14.8994 Å, 55.93 90.00 90.00°
Atoms (fractional coordinates):
K: 0.3813 0.8862 0.3809
K: 0.8813 0.1138 0.1191
K: 0.6187 0.1138 0.6191
K: 0.1187 0.8862 0.8809
Al: 0.2873 0.5998 0.7975
Al: 0.7873 0.4002 0.7025
Al: 0.7127 0.4002 0.2025
Al: 0.2127 0.5998 0.2975
Al: 0.2163 0.1724 0.5457
Al: 0.7163 0.8276 0.9543
Al: 0.7837 0.8276 0.4543
Al: 0.2837 0.1724 0.0457
Br: 0.4069 0.3790 0.9154
Br: 0.9069 0.6210 0.5846
Br: 0.5931 0.6210 0.0846
Br: 0.0931 0.3790 0.4154
Br: 0.1326 0.1521 0.9508
Br: 0.6326 0.8479 0.5492
Br: 0.8674 0.8479 0.0492
Br: 0.3674 0.1521 0.4508
Br: 0.2138 0.2075 0.1742
Br: 0.7138 0.7925 0.3258
Br: 0.7862 0.7925 0.8258
Br: 0.2862 0.2075 0.6742
Br: 0.4170 0.9842 0.1198
Br: 0.9170 0.0158 0.3802
Br: 0.5830 0.0158 0.8802
Br: 0.0830 0.9842 0.6198
Br: 0.2235 0.6188 0.1360
Br: 0.7235 0.3812 0.3640
Br: 0.7765 0.3812 0.8640
Br: 0.2765 0.6188 0.6360
Br: 0.1051 0.7785 0.2943
Br: 0.6051 0.2215 0.2057
Br: 0.8949 0.2215 0.7057
Br: 0.3949 0.7785 0.7943
Br: 0.3916 0.5673 0.3796
Br: 0.8916 0.4327 0.1204
Br: 0.6084 0.4327 0.6204
Br: 0.1084 0.5673 0.8796



DFT (PBE) results for crystalline KAlBr4 at its relaxed geometry.

Output
Space group: No. 13
Energy of formation in eV/atom: -1.77

Cell: 7.6367 9.1203 13.4225 Å, 74.44 90.00 90.00°
Atoms (fractional coordinates):
K: 0.8936 0.0000 0.7500
K: 0.1064 0.0000 0.2500
K: 0.3571 0.5000 0.7500
K: 0.6429 0.5000 0.2500
Al: 0.7849 0.7160 0.5442
Al: 0.2151 0.2840 0.4558
Al: 0.7849 0.2840 0.9558
Al: 0.2151 0.7160 0.0442
Br: 0.2573 0.8004 0.8652
Br: 0.7427 0.1996 0.1348
Br: 0.2573 0.1996 0.6348
Br: 0.7427 0.8004 0.3652
Br: 0.5802 0.8358 0.6256
Br: 0.4198 0.1642 0.3744
Br: 0.5802 0.1642 0.8744
Br: 0.4198 0.8358 0.1256
Br: 0.7432 0.4570 0.6010
Br: 0.2568 0.5430 0.3990
Br: 0.7432 0.5430 0.8990
Br: 0.2568 0.4570 0.1010
Br: 0.9364 0.7878 0.0846
Br: 0.0636 0.2122 0.9154
Br: 0.9364 0.2122 0.4154
Br: 0.0636 0.7878 0.5846